No. 1
Below is TlHCO2 after structural relaxation, with properties calculated at the PBE level.

POSCAR file:
```
TlHCO2
1.0
-0.137 4.386 4.196
3.744 -4.106 4.414
6.834 3.046 -2.962
O Tl C H
8 4 4 4
direct
0.911 0.921 0.680
0.089 0.079 0.320
0.911 0.579 0.320
0.589 0.579 0.180
0.589 0.921 0.820
0.089 0.421 0.680
0.411 0.079 0.180
0.411 0.421 0.820
0.219 0.750 0.500
0.719 0.250 0.000
0.781 0.250 0.500
0.281 0.750 0.000
0.250 0.161 0.250
0.250 0.339 0.750
0.750 0.839 0.750
0.750 0.661 0.250
0.750 0.818 0.250
0.250 0.182 0.750
0.750 0.682 0.750
0.250 0.318 0.250
```

Properties
**ρ**: 4.78 g/cm³
**DFT formation energy**: -27.25 kcal/mol of atoms
**Total moment**: 0.000 μB per formula unit
**DFT total energy**: -117.66 eV for the cell shown
**Crystal system**: orthorhombic

No. 2
Below is TlHCO2 after structural relaxation, with properties calculated at the PBE level.

POSCAR file:
```
TlHCO2
1.0
6.073 0.000 0.000
0.000 7.144 0.000
0.000 0.000 8.060
O Tl C H
8 4 4 4
direct
0.835 0.669 0.690
0.656 0.822 0.331
0.844 0.322 0.331
0.335 0.831 0.190
0.156 0.678 0.831
0.665 0.169 0.690
0.344 0.178 0.831
0.165 0.331 0.190
0.033 0.008 0.006
0.533 0.492 0.506
0.967 0.992 0.506
0.467 0.508 0.006
0.999 0.592 0.760
0.001 0.408 0.260
0.499 0.908 0.260
0.501 0.092 0.760
0.993 0.564 0.258
0.007 0.436 0.758
0.507 0.064 0.258
0.493 0.936 0.758
```

Properties
**ρ**: 4.74 g/cm³
**DFT formation energy**: -27.25 kcal/mol of atoms
**Total moment**: 0.000 μB per formula unit
**DFT total energy**: -117.66 eV for the cell shown
**Crystal system**: orthorhombic

No. 3
Below is UH3CO6 after structural relaxation, with properties calculated at the PBE level.

POSCAR file:
```
UH3CO6
1.0
-1.201 -3.066 4.631
2.876 -5.322 -1.657
6.841 1.979 3.283
H C O U
6 2 12 2
direct
0.464 0.867 0.186
0.791 0.257 0.998
0.371 0.092 0.655
0.629 0.908 0.345
0.209 0.743 0.002
0.536 0.133 0.814
0.972 0.611 0.452
0.028 0.389 0.548
0.185 0.253 0.481
0.916 0.358 0.686
0.815 0.747 0.519
0.390 0.581 0.677
0.516 0.978 0.256
0.128 0.277 0.081
0.610 0.419 0.323
0.375 0.695 0.038
0.484 0.022 0.744
0.084 0.642 0.314
0.872 0.723 0.919
0.625 0.305 0.962
0.634 0.646 0.798
0.366 0.354 0.202
```

Properties
**ρ**: 4.20 g/cm³
**DFT formation energy**: -49.80 kcal/mol of atoms
**Total moment**: 0.001 μB per formula unit
**DFT total energy**: -160.04 eV for the cell shown
**Crystal system**: triclinic

No. 4
Below is UH4C4O10 after structural relaxation, with properties calculated at the PBE level.

POSCAR file:
```
UH4C4O10
1.0
4.276 5.286 0.000
-4.276 5.286 0.000
0.000 0.141 9.644
C O H U
8 20 8 2
direct
0.903 0.974 0.528
0.097 0.026 0.472
0.404 0.494 0.462
0.494 0.404 0.962
0.506 0.596 0.038
0.026 0.097 0.972
0.596 0.506 0.538
0.974 0.903 0.028
0.250 0.979 0.548
0.575 0.605 0.650
0.979 0.250 0.048
0.114 0.088 0.855
0.912 0.886 0.645
0.750 0.021 0.452
0.960 0.507 0.257
0.395 0.425 0.850
0.761 0.418 0.485
0.239 0.582 0.515
0.605 0.575 0.150
0.582 0.239 0.015
0.418 0.761 0.985
0.507 0.960 0.757
0.021 0.750 0.952
0.493 0.040 0.243
0.088 0.114 0.355
0.425 0.395 0.350
0.886 0.912 0.145
0.040 0.493 0.743
0.493 0.934 0.176
0.934 0.493 0.676
0.507 0.066 0.824
0.639 0.926 0.710
0.361 0.074 0.290
0.926 0.639 0.210
0.074 0.361 0.790
0.066 0.507 0.324
0.249 0.751 0.750
0.751 0.249 0.250
```

Properties
**ρ**: 3.43 g/cm³
**DFT formation energy**: -40.38 kcal/mol of atoms
**Total moment**: 1.994 μB per formula unit
**DFT total energy**: -275.31 eV for the cell shown
**Crystal system**: monoclinic

No. 5
Below is YH2C2O6 after structural relaxation, with properties calculated at the PBE level.

POSCAR file:
```
YH2C2O6
1.0
3.923 -7.584 0.000
3.923 7.584 0.000
0.000 0.000 9.623
C O Y H
8 24 4 8
direct
0.401 0.402 0.740
0.598 0.599 0.760
0.534 0.083 0.000
0.402 0.401 0.260
0.466 0.917 0.500
0.917 0.466 0.500
0.083 0.534 0.000
0.599 0.598 0.240
0.000 0.505 0.380
0.002 0.504 0.618
0.862 0.138 0.250
0.254 0.403 0.741
0.998 0.496 0.118
0.372 0.730 0.500
0.404 0.256 0.725
0.744 0.596 0.775
0.730 0.372 0.500
0.505 0.000 0.620
0.138 0.862 0.750
0.504 0.002 0.382
0.596 0.744 0.225
0.496 0.998 0.882
0.256 0.404 0.275
0.597 0.746 0.759
0.138 0.862 0.250
0.746 0.597 0.241
0.862 0.138 0.750
0.495 0.000 0.120
0.403 0.254 0.259
0.628 0.270 0.000
0.270 0.628 0.000
0.000 0.495 0.880
0.707 0.293 0.750
0.293 0.707 0.250
0.707 0.293 0.250
0.293 0.707 0.750
0.000 0.796 0.768
0.000 0.204 0.268
0.794 0.997 0.759
0.796 0.000 0.232
0.206 0.003 0.259
0.997 0.794 0.241
0.003 0.206 0.741
0.204 0.000 0.732
```

Properties
**ρ**: 2.45 g/cm³
**DFT formation energy**: -50.36 kcal/mol of atoms
**Total moment**: 0.000 μB per formula unit
**DFT total energy**: -325.18 eV for the cell shown
**Crystal system**: orthorhombic

No. 6
Below is YH3C3O6 after structural relaxation, with properties calculated at the PBE level.

POSCAR file:
```
YH3C3O6
1.0
3.311 -5.251 0.000
3.311 5.251 0.000
-5.015 0.000 3.658
O C H Y
6 3 3 1
direct
0.592 0.592 0.340
0.592 0.340 0.592
0.889 0.889 0.284
0.284 0.889 0.889
0.340 0.592 0.592
0.889 0.284 0.889
0.150 0.612 0.612
0.612 0.150 0.612
0.612 0.612 0.150
0.851 0.367 0.367
0.367 0.367 0.851
0.367 0.851 0.367
0.001 0.001 0.001
```

Properties
**ρ**: 2.92 g/cm³
**DFT formation energy**: -40.25 kcal/mol of atoms
**Total moment**: 0.001 μB per formula unit
**DFT total energy**: -92.59 eV for the cell shown
**Crystal system**: trigonal

No. 7
Below is ZnH8C4O8 after structural relaxation, with properties calculated at the PBE level.

POSCAR file:
```
ZnH8C4O8
1.0
6.715 4.538 0.000
-6.715 4.538 0.000
0.000 1.106 6.738
H C O Zn
16 8 16 2
direct
0.483 0.236 0.741
0.650 0.159 0.120
0.236 0.483 0.241
0.517 0.764 0.259
0.590 0.717 0.452
0.764 0.517 0.759
0.350 0.841 0.880
0.860 0.556 0.372
0.283 0.410 0.048
0.556 0.860 0.872
0.410 0.283 0.548
0.159 0.650 0.620
0.444 0.140 0.128
0.140 0.444 0.628
0.717 0.590 0.952
0.841 0.350 0.380
0.899 0.049 0.496
0.951 0.101 0.004
0.869 0.906 0.003
0.094 0.131 0.497
0.906 0.869 0.503
0.131 0.094 0.997
0.049 0.899 0.996
0.101 0.951 0.504
0.710 0.794 0.004
0.106 0.530 0.700
0.507 0.249 0.596
0.116 0.781 0.989
0.884 0.219 0.011
0.249 0.507 0.096
0.751 0.493 0.904
0.781 0.116 0.489
0.794 0.710 0.504
0.894 0.470 0.300
0.493 0.751 0.404
0.470 0.894 0.800
0.290 0.206 0.996
0.219 0.884 0.511
0.530 0.106 0.200
0.206 0.290 0.496
0.000 0.500 0.000
0.500 0.000 0.500
```

Properties
**ρ**: 2.02 g/cm³
**DFT formation energy**: -26.58 kcal/mol of atoms
**Total moment**: 0.000 μB per formula unit
**DFT total energy**: -247.22 eV for the cell shown
**Crystal system**: monoclinic

No. 8
Below is ZnHCO4 after structural relaxation, with properties calculated at the PBE level.

POSCAR file:
```
ZnHCO4
1.0
5.418 -9.384 0.000
5.418 9.384 0.000
0.000 0.000 6.398
H O Zn C
6 24 6 6
direct
0.368 0.554 0.750
0.446 0.814 0.750
0.186 0.632 0.750
0.554 0.186 0.250
0.632 0.446 0.250
0.814 0.368 0.250
0.854 0.287 0.575
0.118 0.529 0.750
0.713 0.567 0.575
0.323 0.887 0.250
0.713 0.567 0.925
0.146 0.713 0.075
0.411 0.882 0.750
0.564 0.677 0.250
0.471 0.589 0.750
0.529 0.411 0.250
0.882 0.471 0.250
0.113 0.436 0.250
0.677 0.113 0.750
0.567 0.854 0.075
0.287 0.433 0.425
0.887 0.564 0.750
0.854 0.287 0.925
0.567 0.854 0.425
0.436 0.323 0.750
0.433 0.146 0.575
0.146 0.713 0.425
0.433 0.146 0.925
0.287 0.433 0.075
0.589 0.118 0.250
0.500 0.000 0.500
0.000 0.500 0.500
0.500 0.500 0.000
0.500 0.500 0.500
0.500 0.000 0.000
0.000 0.500 0.000
0.796 0.231 0.750
0.231 0.434 0.250
0.434 0.204 0.750
0.566 0.796 0.250
0.204 0.769 0.250
0.769 0.566 0.750
```

Properties
**ρ**: 2.18 g/cm³
**DFT formation energy**: -33.91 kcal/mol of atoms
**Total moment**: 1.000 μB per formula unit
**DFT total energy**: -247.32 eV for the cell shown
**Crystal system**: hexagonal

No. 9
Below is ZnH6C2O6 after structural relaxation, with properties calculated at the PBE level.

POSCAR file:
```
ZnH6C2O6
1.0
7.240 0.000 0.000
0.000 8.818 0.000
0.000 1.224 9.295
H O C Zn
24 24 8 4
direct
0.651 0.530 0.723
0.388 0.216 0.990
0.612 0.784 0.010
0.099 0.305 0.735
0.476 0.320 0.610
0.976 0.680 0.890
0.112 0.216 0.490
0.349 0.470 0.277
0.524 0.680 0.390
0.151 0.470 0.777
0.401 0.305 0.235
0.199 0.943 0.279
0.603 0.237 0.952
0.024 0.320 0.110
0.301 0.943 0.779
0.397 0.763 0.048
0.103 0.763 0.548
0.801 0.057 0.721
0.901 0.695 0.265
0.599 0.695 0.765
0.849 0.530 0.223
0.699 0.057 0.221
0.888 0.784 0.510
0.897 0.237 0.452
0.880 0.587 0.304
0.280 0.567 0.416
0.601 0.897 0.705
0.380 0.413 0.196
0.833 0.206 0.004
0.023 0.281 0.429
0.333 0.794 0.496
0.477 0.281 0.929
0.101 0.103 0.795
0.720 0.433 0.584
0.399 0.103 0.295
0.780 0.433 0.084
0.227 0.094 0.097
0.167 0.794 0.996
0.977 0.719 0.571
0.773 0.906 0.903
0.120 0.413 0.696
0.273 0.094 0.597
0.620 0.587 0.804
0.727 0.906 0.403
0.220 0.567 0.916
0.899 0.897 0.205
0.667 0.206 0.504
0.523 0.719 0.071
0.382 0.680 0.433
0.273 0.044 0.226
0.618 0.320 0.567
0.773 0.956 0.274
0.118 0.680 0.933
0.727 0.956 0.774
0.227 0.044 0.726
0.882 0.320 0.067
0.500 0.500 0.000
0.000 0.500 0.500
0.000 0.000 0.000
0.500 0.000 0.500
```

Properties
**ρ**: 2.14 g/cm³
**DFT formation energy**: -29.98 kcal/mol of atoms
**Total moment**: 0.001 μB per formula unit
**DFT total energy**: -340.57 eV for the cell shown
**Crystal system**: monoclinic

No. 10
Below is ZnHC4O3 after structural relaxation, with properties calculated at the PBE level.

POSCAR file:
```
ZnHC4O3
1.0
-14.101 3.522 -4.762
8.931 -8.048 -9.455
2.276 -1.569 15.043
O H Zn C
18 6 6 24
direct
0.265 0.633 0.073
0.092 0.467 0.619
0.718 0.345 0.084
0.619 0.092 0.467
0.282 0.655 0.916
0.735 0.367 0.927
0.655 0.916 0.282
0.084 0.718 0.345
0.927 0.735 0.367
0.633 0.073 0.265
0.908 0.533 0.381
0.916 0.282 0.655
0.533 0.381 0.908
0.381 0.908 0.533
0.073 0.265 0.633
0.367 0.927 0.735
0.345 0.084 0.718
0.467 0.619 0.092
0.626 0.181 0.650
0.350 0.374 0.819
0.819 0.350 0.374
0.181 0.650 0.626
0.374 0.819 0.350
0.650 0.626 0.181
0.115 0.788 0.523
0.523 0.115 0.788
0.477 0.885 0.212
0.212 0.477 0.885
0.885 0.212 0.477
0.788 0.523 0.115
0.195 0.209 0.678
0.621 0.171 0.086
0.970 0.869 0.438
0.678 0.195 0.209
0.243 0.640 0.810
0.791 0.322 0.805
0.805 0.791 0.322
0.209 0.678 0.195
0.562 0.030 0.131
0.869 0.438 0.970
0.171 0.086 0.621
0.640 0.810 0.243
0.810 0.243 0.640
0.030 0.131 0.562
0.914 0.379 0.829
0.190 0.757 0.360
0.438 0.970 0.869
0.086 0.621 0.171
0.131 0.562 0.030
0.360 0.190 0.757
0.829 0.914 0.379
0.322 0.805 0.791
0.379 0.829 0.914
0.757 0.360 0.190
```

Properties
**ρ**: 1.20 g/cm³
**DFT formation energy**: -20.33 kcal/mol of atoms
**Total moment**: 0.000 μB per formula unit
**DFT total energy**: -373.71 eV for the cell shown
**Crystal system**: trigonal